Entry 1:
The following is a GGA+U calculation of a geometry-optimized LiMnPO4 structure, from the Materials Project database.

```
28
Lattice="-2.728 -3.361 2.337 5.226 -5.699 -2.096 5.280 0.409 6.751" Properties=species:S:1:pos:R:3 pbc="T T T"
Li 7.391 -4.516 2.154
Li 6.822 -1.768 5.584
Li 2.234 -5.309 0.314
Li 1.740 -2.469 3.679
Mn 4.942 -4.616 5.082
Mn 6.128 -5.616 -0.836
Mn 2.968 -1.411 6.700
Mn 3.792 -2.857 1.092
P 4.804 -5.896 2.110
P 1.714 -4.308 5.963
P 6.090 -7.133 7.045
P 0.409 -3.095 1.044
O 7.606 -7.396 6.796
O 1.466 -4.482 4.431
O 1.424 -2.816 6.283
O 8.095 -5.051 5.166
O 6.001 -3.518 6.509
O 3.506 -1.850 4.479
O 3.201 -4.665 6.252
O 5.575 -5.077 3.193
O -0.524 -3.855 2.004
O 1.765 -2.808 1.723
O 5.428 -6.565 5.771
O -0.243 -1.768 0.553
O 5.878 -6.422 1.118
O 0.737 -6.415 1.375
O 3.808 -4.933 1.399
O 4.031 -7.099 2.721
```

E_tot ... -7.136 eV per atom
Formation enthalpy at 0 K ... -2584 meV per atom



Entry 2:
The following is a GGA+U calculation of a geometry-optimized LiMnPO4 structure, from the Materials Project database.

```
28
Lattice="-7.166 -6.400 3.692 -0.686 -1.947 -4.707 4.872 -4.745 1.231" Properties=species:S:1:pos:R:3 pbc="T T T"
Li -6.193 -5.800 2.201
Li -0.256 -5.175 0.462
Li -2.724 -7.917 -0.246
Li 3.213 -7.291 -1.985
Mn -3.774 -8.182 2.808
Mn -2.695 -2.811 -0.134
Mn -0.285 -10.281 0.350
Mn 0.795 -4.910 -2.592
P -2.217 -5.354 -1.986
P -5.752 -8.312 0.371
P 2.772 -4.779 -0.155
P -0.763 -7.737 2.201
O -1.435 -9.252 -1.008
O -6.250 -7.281 -0.677
O -4.464 -9.029 -0.152
O 0.301 -2.965 -3.061
O -1.544 -3.839 1.223
O 3.270 -5.811 0.893
O 1.484 -4.063 0.368
O -3.281 -10.127 3.277
O 0.243 -6.897 1.369
O -0.365 -9.248 2.136
O -2.195 -7.540 1.634
O -5.378 -7.558 1.683
O 2.398 -5.533 -1.467
O -0.785 -5.552 -1.418
O -2.615 -3.843 -1.920
O -3.223 -6.195 -1.153
```

E_tot ... -7.171 eV per atom
Formation enthalpy at 0 K ... -2620 meV per atom



Entry 3:
The following is a GGA+U calculation of a geometry-optimized LiMnP2O7 structure, from the Materials Project database.

```
88
Lattice="9.700 0.000 0.000 0.076 9.743 0.000 0.096 2.138 10.979" Properties=species:S:1:pos:R:3 pbc="T T T"
Li 5.934 7.811 10.749
Li 8.964 7.475 5.027
Li 2.202 7.117 6.025
Li 5.784 3.568 10.502
Li 1.030 3.561 0.522
Li 8.855 2.903 10.713
Li 5.697 2.575 5.080
Li 2.821 2.240 6.011
Mn 9.115 9.219 7.420
Mn 2.243 8.901 9.211
Mn 7.097 7.943 1.841
Mn 4.247 7.446 3.635
Mn 5.651 4.370 7.396
Mn 2.785 3.958 9.222
Mn 7.585 3.109 1.821
Mn 0.704 2.584 3.641
P 4.465 11.080 8.273
P 7.030 10.504 9.727
P 9.118 9.627 2.663
P 1.607 9.374 4.626
P 6.331 7.289 6.278
P 4.249 7.139 8.333
P 0.636 6.234 8.297
P 2.118 6.291 1.285
P 7.795 5.679 9.760
P 9.185 5.717 2.662
P 5.578 4.741 2.659
P 3.369 4.480 4.589
P 8.362 2.426 6.349
P 0.827 2.295 8.320
P 2.813 1.314 1.273
P 5.468 0.840 2.625
O 4.235 10.908 6.817
O 8.368 10.624 6.320
O 0.993 10.541 8.025
O 3.463 10.477 9.258
O 5.875 10.403 8.614
O 8.201 9.766 9.081
O 6.531 9.709 10.976
O 2.579 9.650 0.945
O 0.846 9.159 3.211
O 8.939 9.319 1.203
O 5.513 9.066 2.225
O 2.939 8.661 4.463
O 8.076 8.742 3.414
O 0.751 8.658 5.702
O 5.539 7.858 5.105
O 3.060 7.888 7.660
O 7.729 7.865 6.440
O 0.526 7.804 8.631
O 5.581 7.697 7.648
O 4.269 7.540 9.779
O 7.546 7.108 10.067
O 1.642 7.111 0.047
O 3.271 7.026 2.002
O 0.902 6.399 2.353
O 5.688 6.256 2.978
O 8.182 6.370 1.683
O 0.945 5.972 6.871
O 3.269 5.977 4.824
O 6.382 5.733 6.262
O 8.944 5.887 4.111
O 1.574 5.617 9.373
O 4.177 5.606 8.018
O 8.900 5.579 8.589
O 6.623 4.844 9.231
O 8.349 2.754 0.014
O 2.325 4.848 0.964
O 5.747 4.398 1.202
O 4.151 4.256 3.182
O 9.260 4.192 2.203
O 2.006 3.823 4.385
O 6.648 3.873 3.403
O 4.193 3.734 5.650
O 9.103 2.983 5.145
O 1.987 3.084 7.626
O 6.943 3.009 6.543
O 4.549 2.909 8.684
O 0.853 2.768 9.759
O 9.151 2.847 7.690
O 7.169 2.216 10.050
O 3.390 2.123 0.032
O 1.668 2.188 1.897
O 3.985 1.422 2.383
O 6.356 1.557 1.551
O 8.948 1.413 2.977
O 1.677 1.128 4.837
O 5.809 1.091 4.040
```

E_tot ... -7.047 eV per atom
Formation enthalpy at 0 K ... -2496 meV per atom



| no. | excess energy over the best structure of this formula in the dataset (eV/atom) |
| --- | --- |
| 1 | 0.0494 |
| 2 | 0.0141 |
| 3 | 0.0693 |